Record 1
Crystalline Li7Mn5O12 at its relaxed geometry, computed with PBE+U.

a b c (Å): 5.9700 6.0111 6.5146
angles (deg): 103.44 102.85 92.30
Sites, in units of the cell vectors:
Li 0.8386 0.8215 0.3245
Li 0.1652 0.6615 0.6729
Li 0.5000 0.5000 0.0000
Li 0.1614 0.1785 0.6755
Li 0.5000 0.0000 0.0000
Li 0.8348 0.3385 0.3271
Li 0.0000 0.5000 0.0000
Mn 0.6764 0.6610 0.6668
Mn 0.0000 0.0000 0.0000
Mn 0.3236 0.3390 0.3332
Mn 0.6715 0.1686 0.6695
Mn 0.3285 0.8314 0.3305
O 0.4457 0.9105 0.6538
O 0.7579 0.7602 0.9814
O 0.1139 0.5850 0.3343
O 0.7678 0.2222 0.9838
O 0.0701 0.0920 0.3170
O 0.4101 0.4252 0.6537
O 0.2322 0.7778 0.0162
O 0.5899 0.5748 0.3463
O 0.8861 0.4150 0.6657
O 0.5543 0.0895 0.3462
O 0.9299 0.9080 0.6830
O 0.2421 0.2398 0.0186

Values from the calculation:
calculated total energy	-0.234	hartree per atom
energy above the most stable polymorph in this dataset	27	meV/atom
magnetization	0.750	μB/atom
energy of formation	-2.130	eV per atom
E (MP2020)	-7.070	eV/atom

***

Record 2
Crystalline NaTiFeO4 at its relaxed geometry, computed with PBE+U.

a b c (Å): 2.9499 9.1250 11.2276
angles (deg): 90.00 90.00 90.00
Sites, in units of the cell vectors:
Na 0.7500 0.3943 0.8931
Na 0.2500 0.1057 0.3931
Na 0.2500 0.6057 0.1069
Na 0.7500 0.8943 0.6069
Ti 0.7500 0.7217 0.8298
Ti 0.2500 0.7783 0.3298
Ti 0.2500 0.2783 0.1702
Ti 0.7500 0.2217 0.6702
Fe 0.7500 0.9945 0.1123
Fe 0.2500 0.5055 0.6123
Fe 0.7500 0.4945 0.3877
Fe 0.2500 0.0055 0.8877
O 0.7500 0.1162 0.8136
O 0.7500 0.8788 0.4049
O 0.2500 0.1083 0.0414
O 0.2500 0.6212 0.9049
O 0.2500 0.8544 0.7671
O 0.7500 0.1456 0.2329
O 0.7500 0.6162 0.6864
O 0.2500 0.3838 0.3136
O 0.7500 0.3917 0.5414
O 0.2500 0.8838 0.1864
O 0.2500 0.6083 0.4586
O 0.2500 0.1212 0.5951
O 0.7500 0.8917 0.9586
O 0.2500 0.3544 0.7329
O 0.7500 0.3788 0.0951
O 0.7500 0.6456 0.2671

Values from the calculation:
calculated total energy	-0.262	hartree per atom
energy above the most stable polymorph in this dataset	43	meV/atom
energy of formation	-2.502	eV per atom
E (MP2020)	-7.856	eV/atom

***

Record 3
Crystalline MnNi3O4 at its relaxed geometry, computed with PBE+U.

a b c (Å): 3.0397 4.3016 6.0605
angles (deg): 90.00 90.00 90.00
Sites, in units of the cell vectors:
Mn 0.0000 0.0000 0.0000
Ni 0.5000 0.5000 0.2540
Ni 0.0000 0.0000 0.5000
Ni 0.5000 0.5000 0.7460
O 0.0000 0.5000 0.5000
O 0.5000 0.0000 0.7371
O 0.0000 0.5000 0.0000
O 0.5000 0.0000 0.2629

Values from the calculation:
calculated total energy	-0.207	hartree per atom
energy above the most stable polymorph in this dataset	2	meV/atom
magnetization	1.375	μB/atom
energy of formation	-1.359	eV per atom
E (MP2020)	-7.146	eV/atom

***

Record 4
Crystalline KNa3WO5 at its relaxed geometry, computed with PBE+U.

a b c (Å): 5.9445 5.9445 9.2082
angles (deg): 79.15 79.15 79.15
Sites, in units of the cell vectors:
K 0.2511 0.7489 0.5000
K 0.7489 0.2511 0.5000
Na 0.3519 0.8422 0.1128
Na 0.1578 0.6481 0.8872
Na 0.6481 0.1578 0.8872
Na 0.8103 0.8103 0.2736
Na 0.8422 0.3519 0.1128
Na 0.1897 0.1897 0.7264
W 0.3088 0.3088 0.2581
W 0.6912 0.6912 0.7419
O 0.7463 0.7463 0.5338
O 0.2537 0.2537 0.4662
O 0.5554 0.1168 0.1546
O 0.9009 0.9009 0.7509
O 0.5208 0.5208 0.2581
O 0.1168 0.5554 0.1546
O 0.8832 0.4446 0.8454
O 0.4792 0.4792 0.7419
O 0.0991 0.0991 0.2491
O 0.4446 0.8832 0.8454

Values from the calculation:
calculated total energy	-0.206	hartree per atom
magnetization	0.000	μB/atom
energy of formation	-2.125	eV per atom
E (MP2020)	-6.403	eV/atom

***

Record 5
Crystalline Li2V2P2O11 at its relaxed geometry, computed with PBE+U.

a b c (Å): 6.2103 7.8603 10.1688
angles (deg): 90.00 90.00 90.00
Sites, in units of the cell vectors:
Li 0.5424 0.3079 0.6358
Li 0.5424 0.6921 0.3642
Li 0.4576 0.8079 0.8642
Li 0.4576 0.1921 0.1358
V 0.0444 0.7066 0.5404
V 0.0444 0.2934 0.4596
V 0.9556 0.2066 0.9596
V 0.9556 0.7934 0.0404
P 0.7796 0.5593 0.8050
P 0.7796 0.4407 0.1950
P 0.2204 0.0593 0.6950
P 0.2204 0.9407 0.3050
O 0.5684 0.5050 0.7450
O 0.5684 0.4950 0.2550
O 0.4316 0.0050 0.7550
O 0.4316 0.9950 0.2450
O 0.7398 0.7071 0.9062
O 0.7398 0.2929 0.0938
O 0.2602 0.2071 0.5938
O 0.2602 0.7929 0.4062
O 0.9035 0.4146 0.8765
O 0.9035 0.5854 0.1235
O 0.0965 0.9146 0.6235
O 0.0965 0.0854 0.3765
O 0.9437 0.6258 0.7006
O 0.9437 0.3742 0.2994
O 0.0563 0.1258 0.7994
O 0.0563 0.8742 0.2006
O 0.8234 0.7275 0.4544
O 0.8234 0.2725 0.5456
O 0.1766 0.2275 0.0456
O 0.1766 0.7725 0.9544
O 0.1604 0.5000 0.5000
O 0.8396 0.0000 0.0000

Values from the calculation:
calculated total energy	-0.257	hartree per atom
energy above the most stable polymorph in this dataset	0	meV/atom
magnetization	0.000	μB/atom
energy of formation	-2.516	eV per atom
E (MP2020)	-7.647	eV/atom

***

Record 6
Crystalline FeC2O6 at its relaxed geometry, computed with PBE+U.

a b c (Å): 5.3659 6.3898 8.6446
angles (deg): 83.04 71.92 65.17
Sites, in units of the cell vectors:
Fe 0.1684 0.2500 0.7500
Fe 0.8316 0.7500 0.2500
C 0.6207 0.2502 0.8449
C 0.7159 0.2498 0.6551
C 0.3793 0.7498 0.1551
C 0.2841 0.7502 0.3449
O 0.3806 0.2418 0.9147
O 0.5370 0.2582 0.5853
O 0.6194 0.7582 0.0853
O 0.4630 0.7418 0.4147
O 0.7908 0.2592 0.9146
O 0.9647 0.2408 0.5854
O 0.2092 0.7408 0.0854
O 0.0353 0.7592 0.4146
O 0.0152 0.5562 0.7515
O 0.3229 0.9438 0.7485
O 0.9848 0.4438 0.2485
O 0.6771 0.0562 0.2515

Values from the calculation:
calculated total energy	-0.241	hartree per atom
energy above the most stable polymorph in this dataset	615	meV/atom
magnetization	0.222	μB/atom
energy of formation	-0.970	eV per atom
E (MP2020)	-7.261	eV/atom

***

Record 7
Crystalline SrCa7Mn6Al2O21 at its relaxed geometry, computed with PBE+U.

a b c (Å): 7.7477 7.7477 7.4701
angles (deg): 90.00 90.00 89.93
Sites, in units of the cell vectors:
Sr 0.2577 0.2577 0.2500
Ca 0.2521 0.2521 0.7500
Ca 0.2626 0.7387 0.2500
Ca 0.2524 0.7486 0.7500
Ca 0.7387 0.2626 0.2500
Ca 0.7486 0.2524 0.7500
Ca 0.7384 0.7384 0.2500
Ca 0.7476 0.7476 0.7500
Mn 0.9995 0.5012 0.9967
Mn 0.9995 0.5012 0.5033
Mn 0.5012 0.9995 0.9967
Mn 0.5012 0.9995 0.5033
Mn 0.5006 0.5006 0.9984
Mn 0.5006 0.5006 0.5016
Al 0.9991 0.9991 0.0006
Al 0.9991 0.9991 0.4994
O 0.9963 0.5015 0.2500
O 0.9991 0.5009 0.7500
O 0.5015 0.9963 0.2500
O 0.5009 0.9991 0.7500
O 0.5041 0.5041 0.2500
O 0.2338 0.9980 0.9966
O 0.2338 0.9980 0.5034
O 0.2562 0.5023 0.9765
O 0.2562 0.5023 0.5235
O 0.7652 0.9993 0.9999
O 0.7652 0.9993 0.5001
O 0.7443 0.5006 0.9778
O 0.7443 0.5006 0.5222
O 0.9980 0.2338 0.9966
O 0.9980 0.2338 0.5034
O 0.9993 0.7652 0.9999
O 0.9993 0.7652 0.5001
O 0.5023 0.2562 0.9765
O 0.5023 0.2562 0.5235
O 0.5006 0.7443 0.9778
O 0.5006 0.7443 0.5222

Values from the calculation:
calculated total energy	-0.252	hartree per atom
energy above the most stable polymorph in this dataset	110	meV/atom
magnetization	0.595	μB/atom
energy of formation	-2.600	eV per atom
E (MP2020)	-7.521	eV/atom

***

Record 8
Crystalline Na3Mn2P2C2O14 at its relaxed geometry, computed with PBE+U.

a b c (Å): 8.9737 6.5860 10.3894
angles (deg): 90.00 88.49 90.00
Sites, in units of the cell vectors:
Na 0.2437 0.4743 0.6232
Na 0.2437 0.0257 0.1232
Na 0.7608 0.5092 0.8766
Na 0.7600 0.9904 0.8792
Na 0.7600 0.5096 0.3792
Na 0.7608 0.9908 0.3766
Mn 0.3440 0.7474 0.8938
Mn 0.3440 0.7526 0.3938
Mn 0.6498 0.2473 0.6089
Mn 0.6498 0.2527 0.1089
P 0.4240 0.2497 0.8563
P 0.4240 0.2503 0.3563
P 0.5719 0.7476 0.6427
P 0.5719 0.7524 0.1427
C 0.0758 0.7518 0.8654
C 0.0758 0.7482 0.3654
C 0.9227 0.2471 0.6343
C 0.9227 0.2529 0.1343
O 0.0584 0.2488 0.6453
O 0.0584 0.2512 0.1453
O 0.1398 0.7611 0.9772
O 0.1398 0.7389 0.4772
O 0.1743 0.7425 0.7698
O 0.1743 0.7575 0.2698
O 0.3308 0.0621 0.8953
O 0.3276 0.4378 0.8860
O 0.3276 0.0622 0.3860
O 0.3308 0.4379 0.3953
O 0.4649 0.2496 0.7087
O 0.4246 0.7409 0.5705
O 0.4649 0.2504 0.2087
O 0.4246 0.7591 0.0705
O 0.5751 0.2526 0.9278
O 0.5372 0.7487 0.7919
O 0.5751 0.2474 0.4278
O 0.5372 0.7513 0.2919
O 0.6720 0.5617 0.6092
O 0.6687 0.9345 0.6065
O 0.6687 0.5655 0.1065
O 0.6720 0.9383 0.1092
O 0.8240 0.2459 0.7322
O 0.8240 0.2541 0.2322
O 0.8527 0.2472 0.5233
O 0.8527 0.2528 0.0233
O 0.9380 0.7507 0.8517
O 0.9380 0.7493 0.3517

Values from the calculation:
calculated total energy	-0.255	hartree per atom
energy above the most stable polymorph in this dataset	9	meV/atom
magnetization	0.304	μB/atom
energy of formation	-2.241	eV per atom
E (MP2020)	-7.495	eV/atom

***

Record 9
Crystalline LiMnO2 at its relaxed geometry, computed with PBE+U.

a b c (Å): 5.9130 6.0170 10.2709
angles (deg): 89.41 106.41 120.01
Sites, in units of the cell vectors:
Li 0.0059 0.2528 0.7497
Li 0.9942 0.7473 0.2504
Li 0.5001 0.0000 0.0000
Li 0.5000 0.5001 0.5000
Li 0.0000 0.5001 0.0000
Li 0.9999 0.0000 0.5001
Li 0.0227 0.7691 0.7583
Li 0.9775 0.2309 0.2418
Mn 0.0001 0.4998 0.5001
Mn 0.0000 0.9999 0.0000
Mn 0.5146 0.2636 0.7536
Mn 0.4853 0.7362 0.2463
Mn 0.5025 0.7530 0.7489
Mn 0.4975 0.2471 0.2510
Mn 0.4999 0.0001 0.5000
Mn 0.5000 0.5000 0.0000
O 0.7177 0.8801 0.6224
O 0.7137 0.3740 0.1264
O 0.2821 0.1199 0.3776
O 0.2863 0.6261 0.8735
O 0.7795 0.6362 0.8765
O 0.7334 0.0916 0.3821
O 0.2205 0.3639 0.1234
O 0.2664 0.9083 0.6179
O 0.2611 0.1444 0.8840
O 0.2560 0.6482 0.3909
O 0.2501 0.8996 0.1268
O 0.2548 0.4084 0.6256
O 0.7389 0.8557 0.1159
O 0.7438 0.3517 0.6092
O 0.7499 0.1005 0.8732
O 0.7452 0.5915 0.3745

Values from the calculation:
calculated total energy	-0.242	hartree per atom
magnetization	1.000	μB/atom
energy of formation	-2.114	eV per atom
E (MP2020)	-7.355	eV/atom

***

Record 10
Crystalline Li2CoP4O12 at its relaxed geometry, computed with PBE+U.

a b c (Å): 10.2833 9.2319 9.4274
angles (deg): 87.79 90.00 90.00
Sites, in units of the cell vectors:
Li 0.3173 0.0987 0.4939
Li 0.8217 0.5956 0.0043
Li 0.3217 0.4044 0.4957
Li 0.6783 0.5956 0.5043
Li 0.8173 0.9013 0.0061
Li 0.1827 0.0987 0.9939
Li 0.6827 0.9013 0.5061
Li 0.1783 0.4044 0.9957
Co 0.3023 0.7481 0.5174
Co 0.1977 0.7481 0.0174
Co 0.6977 0.2519 0.4826
Co 0.8023 0.2519 0.9826
P 0.8936 0.7311 0.3025
P 0.3887 0.9490 0.7921
P 0.3936 0.2689 0.1975
P 0.6113 0.0510 0.2079
P 0.4707 0.7579 0.2303
P 0.9707 0.2421 0.2697
P 0.0293 0.7579 0.7303
P 0.3962 0.5223 0.7936
P 0.6064 0.7311 0.8025
P 0.8962 0.4777 0.7064
P 0.8887 0.0510 0.7079
P 0.1038 0.5223 0.2936
P 0.1113 0.9490 0.2921
P 0.6038 0.4777 0.2064
P 0.5293 0.2421 0.7697
P 0.1064 0.2689 0.6975
O 0.2801 0.2519 0.1006
O 0.7292 0.0633 0.1129
O 0.6262 0.7477 0.6452
O 0.1262 0.9363 0.1338
O 0.7708 0.0633 0.6129
O 0.4629 0.7498 0.3903
O 0.3738 0.2523 0.3548
O 0.4613 0.0959 0.8274
O 0.9912 0.1656 0.6446
O 0.1493 0.7370 0.6458
O 0.5390 0.5766 0.8420
O 0.9613 0.9041 0.6726
O 0.4169 0.3515 0.8194
O 0.3787 0.5579 0.6364
O 0.7914 0.4356 0.6047
O 0.4610 0.4234 0.1580
O 0.2292 0.9367 0.3871
O 0.8738 0.0637 0.8662
O 0.0371 0.7498 0.8903
O 0.0390 0.4234 0.6580
O 0.9169 0.6485 0.6806
O 0.6262 0.0637 0.3662
O 0.5088 0.1656 0.1446
O 0.1262 0.2523 0.8548
O 0.5387 0.9041 0.1726
O 0.7199 0.7481 0.8994
O 0.3738 0.9363 0.6338
O 0.6493 0.2630 0.8542
O 0.2708 0.9367 0.8871
O 0.9610 0.5766 0.3420
O 0.0387 0.0959 0.3274
O 0.2914 0.5644 0.8953
O 0.5371 0.2502 0.6097
O 0.8507 0.2630 0.3542
O 0.8787 0.4420 0.8636
O 0.5831 0.6485 0.1806
O 0.8738 0.7477 0.1452
O 0.7086 0.4356 0.1047
O 0.2086 0.5644 0.3953
O 0.2199 0.2519 0.6006
O 0.0088 0.8344 0.3554
O 0.9629 0.2502 0.1097
O 0.0831 0.3515 0.3194
O 0.1213 0.5579 0.1364
O 0.3507 0.7370 0.1458
O 0.6213 0.4420 0.3636
O 0.7801 0.7481 0.3994
O 0.4912 0.8344 0.8554

Values from the calculation:
calculated total energy	-0.252	hartree per atom
energy above the most stable polymorph in this dataset	4	meV/atom
magnetization	0.158	μB/atom
energy of formation	-2.540	eV per atom
E (MP2020)	-7.380	eV/atom